First-principles (PBE-GGA) data for a relaxed structure of PrErZn2, as listed in Materials Project.

a b c (Å): 7.2571 7.2571 7.2571
angles (deg): 90.00 90.00 90.00
Space group Fm-3m (No. 225)
Asymmetric unit:
Pr (0.0000, 0.0000, 0.0000)
Er (0.0000, 0.0000, 0.5000)
Zn (0.2500, 0.2500, 0.2500)

Output
energy relative to the elements = -0.317 eV/atom